[1]
A relaxed Na2Nb2Ga6Si3S9O48 crystal, computed with PBE-GGA.

Output
Electronic total energy: -0.4764 Ry per atom
Energy relative to the elements: -2.21 eV/atom
Total magnetization: 0.0 μB per formula unit

Structure (POSCAR):
```
Na2Nb2Ga6Si3S9O48
1.0
8.615 0.000 0.000
-0.075 14.967 0.000
-0.033 -0.109 22.392
Na Nb Ga Si S O
6 6 18 9 27 144
Cartesian
0.000 0.000 0.000
-0.045 9.907 3.693
4.168 2.386 14.957
4.162 7.400 11.234
4.244 2.400 3.620
8.509 9.810 14.899
-0.023 4.865 10.719
0.051 0.000 14.440
4.099 7.520 3.178
4.098 12.309 21.875
4.282 7.304 19.286
8.508 -0.034 7.999
-0.013 -0.079 19.006
-0.043 9.847 6.972
-0.044 14.912 3.207
0.039 4.944 15.282
4.077 12.485 4.007
4.100 7.358 14.497
4.171 7.414 7.761
4.193 2.378 18.246
4.223 2.429 0.365
4.162 12.413 15.469
4.184 12.365 10.765
4.248 2.411 11.632
4.282 2.488 7.049
8.431 4.796 21.832
8.455 9.866 18.257
8.542 5.013 4.182
8.521 9.924 0.402
8.536 9.790 11.633
1.173 7.133 13.110
1.282 2.781 13.076
1.637 7.404 5.665
2.460 14.875 16.904
2.840 10.338 1.858
2.948 14.706 1.885
5.483 4.322 20.554
6.142 9.915 20.527
6.580 2.481 9.339
1.042 12.040 20.473
1.082 7.673 20.508
1.131 12.739 5.569
1.213 2.127 5.569
1.687 2.362 20.524
1.711 12.341 13.020
2.356 4.897 1.828
2.411 9.927 9.329
2.915 9.554 16.774
2.949 5.205 16.758
3.037 4.614 9.282
3.065 0.223 9.313
5.382 14.507 13.040
5.434 10.248 13.055
5.482 5.230 5.585
5.456 9.659 5.608
5.544 0.213 20.475
5.968 14.903 5.515
6.022 4.914 13.094
6.705 7.363 16.716
6.699 12.444 1.896
7.212 7.776 9.281
7.229 11.981 9.334
7.283 2.125 16.796
7.235 12.658 16.786
7.325 2.811 1.898
7.320 7.097 1.851
0.432 6.495 14.385
0.465 8.590 12.892
0.426 13.380 20.370
0.510 1.309 13.202
0.479 11.420 5.762
0.481 13.337 4.387
0.528 3.400 11.736
0.500 8.262 19.287
0.493 11.440 21.699
0.567 3.422 5.427
0.538 6.333 20.696
0.607 1.467 6.799
0.793 1.161 20.387
0.787 6.096 5.345
0.771 8.785 5.715
0.823 11.177 12.843
0.880 3.581 20.715
0.839 13.542 13.196
0.887 6.191 11.752
0.860 13.590 6.784
0.908 11.215 19.264
0.965 3.605 14.395
1.025 1.262 4.394
0.964 8.520 21.705
1.274 10.089 1.637
1.314 14.766 1.977
1.427 9.702 16.936
1.482 5.111 16.655
1.437 14.575 18.097
1.517 0.155 15.525
1.561 0.062 9.092
1.555 4.696 3.052
1.552 4.754 9.414
1.555 5.190 0.631
1.571 9.673 10.526
1.588 10.186 8.126
2.476 2.589 19.304
2.491 2.055 21.725
2.514 12.629 11.805
2.527 12.093 14.213
2.531 12.184 20.604
2.569 7.557 20.298
2.604 7.153 6.923
2.592 12.631 5.474
2.686 2.246 5.780
2.658 7.672 4.322
2.803 7.235 13.175
2.848 2.548 12.826
3.095 8.721 15.550
3.153 1.060 10.510
3.128 11.123 3.220
3.184 3.785 8.071
3.196 6.065 17.945
3.245 3.744 1.731
3.239 6.121 2.011
3.226 13.720 0.570
3.251 11.145 9.517
3.284 8.733 9.190
3.281 13.560 16.533
3.394 1.280 16.975
3.514 8.936 17.962
3.575 3.882 16.884
3.613 0.819 8.090
3.544 10.871 16.575
3.601 4.010 10.498
3.593 5.801 15.551
3.560 13.844 9.495
3.604 10.945 0.542
3.627 8.867 2.015
3.654 5.959 9.172
3.700 1.198 1.643
3.655 14.073 3.203
4.724 3.807 21.872
4.800 3.900 5.692
4.799 5.868 20.272
4.769 13.885 14.225
4.853 0.879 12.923
4.801 10.822 11.821
4.859 5.874 4.397
4.838 10.966 5.409
4.856 8.895 13.195
4.868 9.026 6.813
4.894 0.758 19.278
4.871 13.837 20.672
5.113 8.622 20.277
5.191 1.131 5.697
5.169 3.720 12.920
5.131 11.181 20.731
5.200 6.142 13.202
5.208 3.555 19.166
5.191 13.664 5.435
5.188 13.704 11.795
5.203 11.080 14.254
5.275 8.761 4.401
5.305 6.044 6.814
5.366 1.016 21.699
5.756 2.117 10.657
5.734 7.622 9.119
5.818 2.679 7.955
5.822 2.188 16.855
5.782 12.200 9.508
5.788 12.492 16.578
5.867 2.689 1.771
5.843 7.211 2.054
5.839 7.628 15.532
5.850 7.184 17.938
5.889 12.683 0.674
5.892 12.191 3.113
6.834 4.656 14.293
6.841 5.139 11.853
6.929 0.198 4.368
6.851 14.725 6.763
6.849 14.625 13.207
6.925 5.060 5.396
6.909 10.164 12.877
6.932 9.772 5.746
6.921 10.146 19.152
6.959 9.570 21.861
7.024 0.053 20.310
7.031 4.694 20.715
7.385 8.617 10.496
7.402 13.483 17.995
7.455 11.194 8.109
7.527 1.216 15.571
7.502 6.135 16.600
7.530 6.293 0.643
7.559 3.639 3.120
7.510 13.687 2.023
7.567 11.265 1.742
7.600 3.734 9.514
7.565 8.567 16.868
7.620 1.160 9.075
7.827 6.454 9.462
7.848 8.375 8.091
7.879 1.491 17.981
7.840 13.309 15.574
7.847 13.357 9.124
7.925 1.450 2.050
7.894 8.450 1.758
7.908 3.429 16.582
7.914 6.502 3.068
7.886 11.435 10.531
7.971 3.376 0.693
7.911 11.335 16.876
```



[2]
A relaxed Na2NbGaSi2SO12 crystal, computed with PBE-GGA.

Output
Electronic total energy: -0.5065 Ry per atom
Energy relative to the elements: -2.58 eV/atom
Total magnetization: 0.0 μB per formula unit

Structure (POSCAR):
```
Na2NbGaSi2SO12
1.0
8.893 0.034 -0.105
-4.417 7.718 0.105
-0.271 0.156 22.485
O Si S Na Ga Nb
72 12 6 12 6 6
Cartesian
3.350 3.990 14.420
0.436 1.574 15.604
7.087 0.321 18.097
3.143 4.065 20.690
-1.733 5.003 8.079
-0.698 1.568 4.296
5.467 1.217 0.619
2.831 2.778 3.177
4.909 1.258 9.465
5.705 2.950 20.708
3.504 1.309 20.744
7.189 0.306 1.882
-1.106 3.838 13.001
0.735 6.713 1.759
1.449 5.408 5.788
5.018 6.363 2.005
2.823 7.641 9.277
6.057 2.909 14.284
1.058 6.573 10.760
0.703 6.599 17.067
-2.763 7.559 4.507
5.875 2.431 5.407
5.120 0.974 3.041
5.230 3.986 9.502
0.916 3.985 1.729
0.940 3.831 8.184
7.877 1.376 6.855
-1.696 5.392 10.742
3.668 4.216 11.756
-1.865 5.534 17.012
3.704 1.014 14.438
5.172 1.527 16.650
5.073 4.065 0.579
3.814 6.119 6.978
0.546 6.679 8.144
7.670 1.452 13.125
2.713 2.537 16.737
-0.823 3.627 22.003
3.771 4.056 5.494
0.864 1.338 2.042
6.020 2.488 11.861
3.421 1.224 5.436
-3.611 6.598 9.295
-0.859 6.830 19.321
0.625 1.608 9.219
-3.179 7.659 20.537
4.959 6.235 18.066
3.466 6.510 4.361
4.991 4.256 16.679
-0.756 6.670 13.060
0.593 3.587 10.606
-1.177 6.603 21.985
2.794 2.389 0.513
1.691 0.262 6.824
1.493 5.101 19.427
2.662 2.920 9.447
0.382 3.872 17.030
-1.171 4.018 19.386
1.348 5.045 12.972
-0.753 3.766 5.824
-0.866 1.565 20.520
3.613 6.414 13.284
3.260 6.485 20.461
-1.543 4.994 1.817
5.585 3.960 3.195
1.531 5.523 21.849
0.948 1.469 18.220
-1.114 6.523 5.770
2.633 7.651 15.539
3.356 1.405 11.821
1.339 0.303 13.248
-3.587 6.444 15.749
1.106 2.394 16.899
5.742 4.885 1.874
2.959 4.859 13.135
-2.644 5.296 9.457
-1.568 7.473 20.700
7.486 2.246 5.569
6.139 0.225 16.812
1.215 7.499 9.439
2.981 0.415 13.117
3.091 5.520 5.657
-1.546 3.029 20.682
1.883 2.682 1.892
2.344 5.373 20.653
2.505 0.112 5.628
1.130 2.957 9.410
6.871 2.760 13.088
5.657 0.344 1.845
5.496 5.605 16.870
4.459 2.556 7.335
-1.176 2.682 1.901
3.190 5.329 9.361
-4.427 7.762 11.223
5.957 4.895 5.579
4.356 2.691 18.578
-4.595 7.783 22.466
1.430 7.508 13.144
0.100 5.148 3.658
3.080 0.225 16.821
1.320 2.404 20.604
-0.068 5.170 14.901
-0.123 5.466 11.712
-0.184 5.048 0.470
4.404 2.852 4.147
-0.233 0.361 19.172
4.072 2.590 15.390
4.182 7.695 7.930
4.170 2.752 21.967
8.840 0.073 3.159
-0.214 5.300 18.289
-0.086 5.210 7.047
8.697 0.139 14.401
4.313 2.686 10.724
```